Here is a relaxed ZrFeCl6 crystal from the Materials Project database. Energies are from r2SCAN.

Energy of formation from the pure elements (eV per atom): -1.643

Cell and atoms, written as POSCAR:
```
ZrFeCl6
1.0
3.129 -5.417 -0.028
3.175 5.444 0.014
-0.028 0.055 12.254
Cl Zr Fe
12 2 2
Direct
0.978 0.667 0.630
0.688 0.667 0.870
0.022 0.333 0.370
0.312 0.333 0.130
0.024 0.689 0.134
0.334 0.311 0.634
0.666 0.689 0.366
0.976 0.311 0.866
0.692 0.022 0.638
0.309 0.978 0.362
0.330 0.022 0.862
0.670 0.978 0.138
0.326 0.651 0.250
0.674 0.349 0.750
0.006 0.012 0.250
0.994 0.988 0.750
```